Entry 1:
Entry from the Materials Project: a relaxed Nd3Ru crystal (r²SCAN).

The structure in extended XYZ format:
```
16
Lattice="0.000 0.000 6.520 7.384 0.000 0.000 0.000 9.763 0.000" Properties=species:S:1:pos:R:3 pbc="T T T"
Nd 3.352 7.323 0.939
Nd 2.408 9.092 4.393
Nd 0.340 2.441 4.199
Nd 2.408 5.553 4.393
Nd 4.977 4.211 2.128
Nd 1.285 0.671 1.133
Nd 4.032 2.441 5.581
Nd 4.977 0.671 2.128
Nd 7.045 7.323 2.321
Nd 6.100 5.553 5.388
Nd 6.100 9.092 5.388
Nd 1.285 4.211 1.133
Ru 6.554 2.441 0.301
Ru 0.831 7.323 6.219
Ru 2.861 2.441 2.959
Ru 4.523 7.323 3.561
```

formation enthalpy at 0 K	-204	meV per atom
space-group type	Pnma
calculated volume	29.38	Å³/atom


Entry 2:
Entry from the Materials Project: a relaxed NdSb12Ru4 crystal (r²SCAN).

The structure in extended XYZ format:
```
17
Lattice="3.669 1.447 7.053 -7.652 2.569 0.368 0.107 -7.937 -1.513" Properties=species:S:1:pos:R:3 pbc="T T T"
Sb -1.903 -1.067 5.422
Sb -4.533 -2.345 2.848
Sb 0.502 0.645 5.787
Sb -0.057 -5.721 1.195
Sb 0.656 -1.576 3.060
Sb -2.549 0.519 2.346
Sb 1.860 -3.645 4.826
Sb -5.737 -0.276 1.082
Sb -4.379 -4.565 0.120
Sb -1.973 -2.854 0.485
Sb -3.819 1.800 4.712
Sb -1.327 -4.440 3.561
Nd 0.000 0.000 0.000
Ru -1.938 -1.960 2.954
Ru -3.826 1.284 0.184
Ru 1.834 0.724 3.526
Ru 0.054 -3.968 -0.757
```

formation enthalpy at 0 K	-374	meV per atom
space-group type	Im-3
calculated volume	23.89	Å³/atom


Entry 3:
Entry from the Materials Project: a relaxed NdSi2Ru crystal (r²SCAN).

The structure in extended XYZ format:
```
8
Lattice="4.076 0.000 0.000 0.000 4.380 -0.946 0.000 0.007 8.290" Properties=species:S:1:pos:R:3 pbc="T T T"
Ru 1.019 0.524 3.102
Ru 3.057 3.863 4.242
Nd 3.057 2.582 1.113
Nd 1.019 1.806 6.231
Si 1.019 2.929 3.452
Si 1.019 0.165 0.729
Si 3.057 4.222 6.615
Si 3.057 1.458 3.892
```

formation enthalpy at 0 K	-894	meV per atom
space-group type	P2_1/m
calculated volume	18.50	Å³/atom


Entry 4:
Entry from the Materials Project: a relaxed NdSn3Ru crystal (r²SCAN).

The structure in extended XYZ format:
```
40
Lattice="9.757 0.000 0.000 0.000 9.757 0.000 0.000 0.000 9.757" Properties=species:S:1:pos:R:3 pbc="T T T"
Ru 7.317 2.439 7.317
Ru 2.439 7.317 2.439
Ru 7.318 7.317 2.439
Ru 2.439 2.439 2.439
Ru 2.439 2.439 7.318
Ru 7.318 7.317 7.317
Ru 2.439 7.317 7.317
Ru 7.317 2.439 2.439
Sn 3.352 4.878 7.955
Sn 7.955 6.405 4.878
Sn 9.757 1.526 6.680
Sn 0.000 8.230 3.077
Sn 3.077 9.757 8.230
Sn 1.802 3.352 4.878
Sn 1.802 6.405 4.878
Sn 3.077 0.000 1.526
Sn 7.955 3.352 4.878
Sn 3.352 4.878 1.801
Sn 6.680 0.000 8.230
Sn 4.878 1.801 6.405
Sn 6.405 4.878 7.955
Sn 1.526 6.680 0.000
Sn 8.231 6.680 0.000
Sn 6.680 0.000 1.526
Sn 4.878 1.801 3.352
Sn 6.405 4.878 1.801
Sn 1.526 3.077 0.000
Sn 4.878 7.955 3.352
Sn 4.878 7.955 6.404
Sn 9.757 1.526 3.077
Sn 8.230 3.077 9.757
Sn 0.000 8.230 6.680
Nd 4.878 2.439 0.000
Nd 0.000 9.756 9.757
Nd 9.757 4.878 7.317
Nd 0.000 4.878 2.439
Nd 7.318 9.757 4.878
Nd 4.878 4.879 4.878
Nd 2.439 9.757 4.878
Nd 4.878 7.317 9.757
```

formation enthalpy at 0 K	-516	meV per atom
space-group type	Pm-3n
calculated volume	23.22	Å³/atom


Number 1: total moment 0.00 Bohr magnetons per cell. Number 2: total moment 0.00 Bohr magnetons per cell. Number 3: total moment 0.00 Bohr magnetons per cell. Number 4: total moment 0.00 Bohr magnetons per cell.